[1]
A plane-wave DFT calculation with GGA+U was carried out for crystalline LiMn4P3O12 at its relaxed geometry.

Geometry as extended XYZ:
```
80
Lattice="6.497 0.000 0.000 0.000 10.009 0.000 0.000 0.000 14.664" Properties=species:S:1:pos:R:3 pbc="T T T"
Li 3.688 7.386 3.666
Li 2.809 2.623 10.998
Li 6.057 2.381 10.998
Li 0.440 7.628 3.666
O 0.646 2.815 7.119
O 5.387 0.313 8.087
O 0.311 0.580 10.998
O 3.895 2.189 7.119
O 4.588 2.328 9.509
O 1.339 2.677 12.487
O 2.691 3.512 4.976
O 0.646 2.815 0.213
O 5.158 7.332 2.177
O 1.909 7.682 5.155
O 1.110 9.696 6.577
O 5.851 7.194 14.451
O 2.603 7.820 7.545
O 4.588 2.328 12.487
O 3.442 9.615 1.477
O 3.895 2.189 0.213
O 5.940 1.493 2.356
O 2.139 4.692 13.909
O 4.909 8.846 10.998
O 0.558 8.517 9.688
O 3.055 0.395 13.187
O 3.055 0.395 8.809
O 2.937 5.584 3.666
O 6.186 9.429 3.666
O 4.358 5.317 6.577
O 5.387 0.313 13.909
O 3.442 9.615 5.855
O 6.303 4.610 13.187
O 3.560 4.425 10.998
O 4.837 3.841 3.666
O 0.558 8.517 12.308
O 1.588 1.163 3.666
O 6.303 4.610 8.809
O 1.660 6.168 10.998
O 1.339 2.677 9.509
O 5.940 1.493 4.976
O 4.358 5.317 0.755
O 3.806 6.497 9.688
O 0.194 5.399 1.477
O 0.194 5.399 5.855
O 1.909 7.682 2.177
O 1.110 9.696 0.755
O 3.806 6.497 12.308
O 2.691 3.512 2.356
O 5.158 7.332 5.155
O 2.603 7.820 14.451
O 5.851 7.194 7.545
O 2.139 4.692 8.087
Mn 2.297 5.594 1.435
Mn 4.200 4.415 13.229
Mn 5.546 9.420 5.897
Mn 2.232 1.608 1.565
Mn 0.951 0.590 13.229
Mn 4.200 4.415 8.767
Mn 5.481 3.397 5.767
Mn 4.265 8.401 13.099
Mn 4.265 8.401 8.897
Mn 1.016 6.613 8.897
Mn 2.297 5.594 5.897
Mn 2.232 1.608 5.767
Mn 5.546 9.420 1.435
Mn 1.016 6.613 13.099
Mn 5.481 3.397 1.565
Mn 0.951 0.590 8.767
P 5.525 6.339 6.277
P 0.972 3.670 13.609
P 4.220 1.335 13.609
P 6.444 9.080 10.998
P 4.220 1.335 8.387
P 3.196 5.934 10.998
P 5.525 6.339 1.055
P 2.277 8.675 1.055
P 0.972 3.670 8.387
P 2.277 8.675 6.277
P 3.301 4.076 3.666
P 0.053 0.929 3.666
```

- ΔE to the lowest computed polymorph (meV per atom) = 0
- symmetry = Pnma, No. 62
- DFT formation energy (meV per atom) = -2551
- final energy (eV per formula unit) = -150.3

---

[2]
A plane-wave DFT calculation with GGA+U was carried out for crystalline LiMn4P3O12 at its relaxed geometry.

Geometry as extended XYZ:
```
40
Lattice="-1.425 5.842 4.456 -6.874 0.347 -3.679 0.661 -8.323 5.245" Properties=species:S:1:pos:R:3 pbc="T T T"
O -7.474 2.636 2.163
O -3.694 -0.593 0.014
O -1.733 -6.902 4.659
O -4.219 2.509 1.724
O -4.196 -2.533 3.107
O -5.821 -2.269 0.592
O -6.624 1.044 0.324
O -3.944 -1.541 6.008
O -1.902 2.434 2.756
O -0.164 -4.769 3.859
O -3.637 -4.733 1.829
O -3.418 -4.643 4.298
O -1.817 0.136 5.431
O -5.904 4.768 1.364
O -4.558 -7.188 3.122
O -4.000 2.600 4.194
O -5.736 -4.567 3.267
O -1.294 -2.544 3.282
O -1.013 -3.177 5.699
O -6.359 -1.753 5.124
O -3.079 5.054 2.901
O -6.343 0.411 2.740
O -3.441 0.399 2.915
O -1.278 -0.380 0.898
Mn -2.721 -1.226 4.123
Mn -7.266 1.591 -1.708
Mn -4.916 -0.907 1.899
Mn -5.895 3.547 3.273
Mn -4.551 1.623 -0.165
Mn -1.742 -5.680 2.750
Mn -3.087 -3.757 6.187
Mn -0.372 -3.725 7.731
P -3.377 1.964 2.950
P -7.285 1.164 1.751
P -2.219 -0.089 -0.291
P -0.353 -3.297 4.272
P -4.260 -4.097 3.073
P -5.418 -2.044 6.313
Li -6.554 0.434 4.761
Li -1.084 -2.567 1.262
```

- ΔE to the lowest computed polymorph (meV per atom) = 15
- symmetry = P-1, No. 2
- DFT formation energy (meV per atom) = -2536
- final energy (eV per formula unit) = -150.0

---

[3]
A plane-wave DFT calculation with GGA+U was carried out for crystalline LiMnPO4 at its relaxed geometry.

Geometry as extended XYZ:
```
84
Lattice="-3.786 1.066 -6.905 5.380 -5.901 -3.861 -4.529 -17.113 -0.157" Properties=species:S:1:pos:R:3 pbc="T T T"
O -3.378 -11.988 -5.822
O -0.198 -5.033 -7.372
O -0.475 -16.376 -8.089
O -3.790 -12.062 -2.444
O 0.442 -9.960 -5.101
O -5.213 -14.835 -6.474
O 2.277 -7.113 -4.449
O -4.088 -8.353 -6.975
O 0.854 -9.886 -8.479
O -2.738 -16.915 -3.550
O -0.966 -18.758 -3.617
O -2.290 -13.917 -3.314
O -3.866 -14.370 -1.347
O 0.931 -7.578 -9.576
O 0.469 -12.967 -8.772
O -5.535 -15.072 -3.963
O 1.152 -13.595 -3.948
O 2.146 -15.942 -3.736
O -1.720 -18.355 -9.123
O -4.005 -19.725 -7.310
O -2.591 -13.553 -7.685
O -5.468 -17.158 -5.440
O -1.106 -9.105 -9.853
O 1.069 -2.223 -3.613
O 0.087 -5.392 -3.030
O -0.345 -8.395 -3.238
O -3.405 -8.981 -2.150
O -2.461 -5.572 -2.834
O -2.039 -9.449 -4.812
O -2.494 -18.515 -1.591
O -0.855 -0.505 -1.550
O -0.140 -15.627 -4.805
O -2.081 -21.443 -9.373
O -1.970 -3.190 -7.306
O -1.830 -12.843 -1.070
O -2.796 -6.321 -6.118
O 2.599 -6.876 -6.960
O -5.082 -6.006 -7.187
O -3.023 -16.556 -7.892
O -0.867 -10.872 -3.092
O -1.553 -18.172 -6.617
O 2.532 -4.790 -5.482
O -1.216 -3.593 -1.800
O -1.383 -3.776 -4.306
O -0.897 -12.499 -6.111
O -0.441 -3.433 -9.332
O -2.069 -11.076 -7.831
O -0.646 -8.031 -7.609
Mn -0.981 -14.450 -8.701
Mn -4.646 -17.754 -7.246
Mn 1.710 -4.194 -3.677
Mn 1.408 -5.929 -8.397
Mn -2.812 -4.227 -5.747
Mn 2.326 -9.217 -4.761
Mn -1.955 -7.498 -2.222
Mn -0.123 -17.721 -5.176
Mn -5.261 -12.731 -6.162
Mn -2.220 -9.243 -6.874
Mn -4.343 -16.019 -2.526
Mn -0.716 -12.705 -4.049
P -2.949 -13.308 -2.040
P -0.541 -3.565 -7.786
P -2.248 -12.278 -6.848
P 1.281 -15.002 -4.619
P -4.217 -6.946 -6.304
P -0.688 -9.670 -4.075
P 0.013 -8.640 -8.883
P -1.250 -4.592 -2.993
P -5.914 -15.662 -5.348
P -1.686 -17.356 -7.930
P -2.395 -18.383 -3.137
P 2.978 -6.286 -5.575
Li 0.196 -2.396 -0.879
Li -1.980 -20.175 -6.956
Li -3.132 -19.552 -10.044
Li -1.998 -15.421 -4.433
Li -1.621 -10.779 -1.129
Li -3.916 -14.883 -7.871
Li -0.956 -1.773 -3.967
Li 0.693 -11.435 -7.119
Li 0.981 -7.065 -3.052
Li -3.629 -10.513 -3.804
Li -0.938 -6.527 -6.490
Li -1.314 -11.169 -9.794
```

- ΔE to the lowest computed polymorph (meV per atom) = 57
- symmetry = P2_1/c, No. 14
- DFT formation energy (meV per atom) = -2577
- final energy (eV per formula unit) = -49.9

---

[4]
A plane-wave DFT calculation with GGA+U was carried out for crystalline LiMnP2O7 at its relaxed geometry.

Geometry as extended XYZ:
```
44
Lattice="-3.218 -6.815 -2.352 4.333 -3.634 4.599 -4.562 -0.623 8.045" Properties=species:S:1:pos:R:3 pbc="T T T"
Mn -3.822 -4.935 6.053
Mn 0.375 -6.137 4.239
Mn -3.096 -7.917 0.893
Mn -0.351 -3.155 9.398
P -4.490 -5.953 3.001
P 1.043 -5.119 7.290
P -1.868 -7.733 5.786
P 0.243 -7.783 1.639
P -3.689 -3.289 8.652
P -1.362 -5.694 11.222
P -2.084 -5.377 -0.930
P -1.579 -3.338 4.505
O -2.414 -6.802 -0.485
O -3.020 -8.757 5.559
O -0.426 -2.315 4.732
O -2.394 -3.502 5.799
O -1.075 -4.621 3.884
O -2.091 -4.315 0.147
O -1.033 -4.269 10.776
O 1.028 -8.723 2.659
O -2.299 -2.695 8.679
O -3.815 -5.252 4.180
O 0.249 -6.353 2.259
O -5.367 -6.098 6.257
O 1.920 -4.973 4.034
O -1.147 -8.376 1.613
O -1.356 -6.757 10.144
O -3.358 -6.364 2.036
O -4.474 -2.348 7.632
O -3.575 -8.394 8.338
O 0.369 -5.819 6.111
O -0.930 -8.349 6.918
O 2.057 -4.048 6.950
O 0.129 -2.678 1.954
O -2.517 -2.722 3.373
O -0.088 -4.708 8.256
O -2.372 -6.450 6.407
O -3.695 -4.718 8.033
O -5.504 -7.023 3.342
O -1.052 -7.570 4.492
Li -1.231 -4.743 1.911
Li -5.057 -8.326 4.804
Li 1.610 -2.745 5.487
Li -2.216 -6.329 8.380
```

- ΔE to the lowest computed polymorph (meV per atom) = 28
- symmetry = P2_1/c, No. 14
- DFT formation energy (meV per atom) = -2537
- final energy (eV per formula unit) = -78.0

---

[5]
A plane-wave DFT calculation with GGA+U was carried out for crystalline LiMnP2O7 at its relaxed geometry.

Geometry as extended XYZ:
```
22
Lattice="1.085 -1.964 5.522 -7.619 -2.574 -1.137 2.647 -3.845 -4.065" Properties=species:S:1:pos:R:3 pbc="T T T"
O -0.867 -3.785 1.926
O 1.229 -4.591 0.651
O 1.453 -3.112 2.756
O -5.340 -5.272 -2.436
O -0.437 -2.430 -0.169
O -3.450 -5.953 0.489
O -5.116 -3.792 -0.331
O -1.041 -1.252 1.889
O -3.019 -4.598 -1.606
O -3.409 -4.807 3.005
O -2.838 -2.708 0.734
O -1.049 -5.675 -0.414
O -2.846 -7.132 -1.568
O -0.478 -3.576 -2.686
P -1.374 -2.513 1.069
P -4.589 -4.176 -1.742
P 0.702 -4.208 2.062
P -2.513 -5.870 -0.748
Mn -4.405 -4.465 1.372
Mn 0.518 -3.916 -1.051
Li -3.887 -8.382 0.320
Li -3.809 -1.287 -0.569
```

- ΔE to the lowest computed polymorph (meV per atom) = 63
- symmetry = P-1, No. 2
- DFT formation energy (meV per atom) = -2502
- final energy (eV per formula unit) = -77.6

---

[6]
A plane-wave DFT calculation with GGA+U was carried out for crystalline LiMnPO4 at its relaxed geometry.

Geometry as extended XYZ:
```
56
Lattice="5.972 0.000 0.000 0.000 7.817 0.000 0.000 0.000 13.678" Properties=species:S:1:pos:R:3 pbc="T T T"
Li 2.080 6.296 9.904
Li 5.066 5.430 3.774
Li 2.080 5.430 3.065
Li 0.906 2.387 9.904
Li 5.066 6.296 10.613
Li 3.892 1.522 3.774
Li 3.892 2.387 10.613
Li 0.906 1.522 3.065
O 2.662 6.308 1.160
O 5.648 5.418 12.518
O 0.157 4.859 1.920
O 1.143 0.233 12.809
O 3.970 4.776 10.055
O 0.324 1.510 7.999
O 3.310 2.399 5.679
O 4.829 7.584 0.869
O 3.143 4.859 4.919
O 0.984 6.951 3.623
O 2.002 0.867 10.463
O 5.816 0.951 4.919
O 3.143 6.867 11.758
O 2.662 5.418 7.999
O 0.157 6.867 8.759
O 0.984 4.776 10.463
O 3.970 6.951 3.216
O 2.002 3.042 3.623
O 5.816 2.958 11.758
O 0.324 2.399 1.160
O 1.843 4.142 12.809
O 4.988 3.042 3.216
O 4.129 0.233 7.708
O 3.310 1.510 12.518
O 2.829 2.958 8.759
O 1.143 3.676 5.970
O 4.988 0.867 10.055
O 4.129 3.676 0.869
O 2.829 0.951 1.920
O 1.843 7.584 5.970
O 5.648 6.308 5.679
O 4.829 4.142 7.708
P 0.597 4.308 11.861
P 5.375 3.510 1.817
P 3.583 4.308 8.656
P 3.583 7.418 1.817
P 0.597 7.418 5.022
P 2.389 3.510 5.022
P 2.389 0.399 11.861
P 5.375 0.399 8.656
Mn 2.372 2.510 0.554
Mn 2.372 1.399 7.394
Mn 0.614 5.307 7.394
Mn 0.614 6.419 0.554
Mn 5.358 2.510 6.285
Mn 5.358 1.399 13.124
Mn 3.600 6.419 6.285
Mn 3.600 5.307 13.124
```

- ΔE to the lowest computed polymorph (meV per atom) = 55
- symmetry = Pbca, No. 61
- DFT formation energy (meV per atom) = -2579
- final energy (eV per formula unit) = -49.9

---

[7]
A plane-wave DFT calculation with GGA+U was carried out for crystalline LiMnP2O7 at its relaxed geometry.

Geometry as extended XYZ:
```
88
Lattice="9.743 0.000 0.000 -0.255 9.792 0.000 -0.007 -2.236 10.896" Properties=species:S:1:pos:R:3 pbc="T T T"
O 2.586 6.662 6.351
O 2.963 5.929 3.374
O 6.255 3.641 4.702
O 3.237 3.961 6.253
O 3.891 3.506 2.913
O 7.410 4.895 0.880
O 7.933 8.558 4.902
O 1.560 -0.978 6.027
O 6.432 2.752 1.949
O 4.098 2.027 7.648
O 1.837 0.843 3.300
O 7.538 5.840 4.427
O 8.778 3.717 6.772
O 2.205 7.577 9.902
O 7.644 6.692 7.618
O 3.819 5.410 1.175
O 0.825 3.762 4.044
O 8.087 2.629 0.017
O 2.222 2.632 9.922
O 3.309 -0.009 10.841
O 3.001 4.922 9.017
O 8.091 4.243 9.250
O 5.577 -1.308 6.703
O 4.436 0.780 2.374
O 5.511 8.317 2.367
O 3.970 -0.795 8.501
O 3.799 8.726 4.084
O 5.430 5.483 3.151
O 1.455 3.299 1.591
O 0.600 0.373 1.200
O 7.848 7.509 1.972
O 5.038 6.732 8.538
O 6.281 7.585 0.031
O 0.428 6.969 7.538
O 9.062 0.553 3.347
O 6.919 0.937 4.515
O 1.680 0.047 8.894
O 1.276 4.800 10.887
O 5.528 2.073 9.713
O 8.951 -0.795 7.935
O 0.723 4.127 8.523
O 3.091 8.392 1.639
O 1.895 1.823 6.476
O 5.578 4.035 7.997
O 6.399 -0.861 9.135
O 5.342 5.846 5.661
O 4.016 1.788 5.112
O 9.072 1.995 8.699
O 0.397 6.621 5.032
O 0.421 5.514 2.168
O 8.925 7.140 9.707
O 9.144 0.965 5.825
O 8.800 3.353 2.345
O 0.545 8.311 2.963
O 6.627 1.696 7.570
O 7.297 0.011 1.060
Li 0.825 6.718 10.671
Li 0.204 2.833 5.519
Li 3.895 7.102 5.003
Li 6.756 7.456 5.991
Li 2.812 0.120 4.923
Li 3.816 1.909 10.616
Li 8.716 0.824 0.239
Li 8.516 6.301 0.450
P 1.210 7.285 6.155
P 9.015 3.494 8.222
P 3.308 2.425 6.311
P 2.778 -0.796 9.597
P 0.505 3.996 2.612
P 0.660 0.046 2.670
P 4.092 9.000 2.635
P 6.178 5.161 4.550
P 8.254 0.289 4.742
P 5.375 -1.475 8.175
P 8.833 7.477 8.240
P 7.610 3.473 1.258
P 3.992 5.010 2.624
P 5.506 2.514 8.265
P 1.887 4.042 9.621
P 6.722 8.373 1.291
Mn 6.691 5.593 9.023
Mn 0.648 0.431 7.313
Mn 8.852 7.119 3.650
Mn 2.778 1.936 1.865
Mn 2.052 6.685 1.780
Mn 3.947 5.350 7.370
Mn 7.450 0.842 9.112
Mn 5.546 2.193 3.625
```

- ΔE to the lowest computed polymorph (meV per atom) = 59
- symmetry = P1, No. 1
- DFT formation energy (meV per atom) = -2507
- final energy (eV per formula unit) = -77.6

---

Which value of final energy does entry 5 give?
-77.6 eV per formula unit

---

Which of these has the highest ΔE to the lowest computed polymorph?
number 5